The following is a PBE with a Hubbard U calculation of an optimized crystal structure of Co7B24H6O46, from the Materials Project database.

Cell: 8.264 20.424 7.744 Å, 90.00 90.00 90.00°
Space group Pbam (No. 55)
Asymmetric unit:
Co 0.000 0.000 0.000 [2 per cell]
Co 0.096 0.382 0.000 [4 per cell]
Co 0.100 0.673 0.500 [4 per cell]
Co 0.191 0.931 0.500 [4 per cell]
B 0.018 0.740 0.167 [8 per cell]
B 0.078 0.869 0.168 [8 per cell]
B 0.129 0.508 0.169 [8 per cell]
B 0.149 0.071 0.331 [8 per cell]
B 0.212 0.178 0.178 [8 per cell]
B 0.233 0.293 0.334 [8 per cell]
H 0.018 0.432 0.389 [8 per cell]
H 0.249 0.100 0.000 [4 per cell]
O 0.022 0.073 0.192 [8 per cell]
O 0.022 0.289 0.000 [4 per cell]
O 0.024 0.448 0.181 [8 per cell]
O 0.037 0.191 0.171 [8 per cell]
O 0.053 0.410 0.500 [4 per cell]
O 0.059 0.296 0.304 [8 per cell]
O 0.067 0.069 0.500 [4 per cell]
O 0.161 0.871 0.000 [4 per cell]
O 0.193 0.857 0.305 [8 per cell]
O 0.199 0.742 0.196 [8 per cell]
O 0.212 0.517 0.000 [4 per cell]
O 0.225 0.765 0.500 [4 per cell]
O 0.242 0.649 0.000 [4 per cell]
O 0.243 0.514 0.310 [8 per cell]
O 0.249 0.633 0.310 [8 per cell]

Values from the calculation:
- total energy (eV per cell) = -1229.00
- magnetic moment (Bohr magnetons per cell) = 42.077